[1]
## Na14Ta5In3Si12O48 (PBE)

Data for a geometry-optimized Na14Ta5In3Si12O48 structure.

Cell: 18.322 9.157 22.456 Å, 90.04 89.91 120.00°
Atoms (fractional coordinates):
Si 0.313 0.962 0.418
Si 0.643 0.291 0.750
Si 0.143 0.291 0.750
Si 0.002 0.713 0.751
Si 0.687 0.043 0.584
Si 0.186 0.040 0.586
Si 0.480 0.628 0.084
Si 0.314 0.665 0.917
Si 0.166 0.371 0.418
Si 0.002 0.291 0.251
Si 0.334 0.041 0.084
Si 0.501 0.296 0.251
Si 0.352 0.706 0.251
Si 0.980 0.626 0.085
Si 0.479 0.333 0.585
Si 0.020 0.667 0.417
Si 0.502 0.713 0.751
Si 0.854 0.996 0.751
Si 0.019 0.372 0.918
Si 0.668 0.372 0.418
Si 0.334 0.626 0.585
Si 0.834 0.627 0.585
Si 0.687 0.332 0.085
Si 0.519 0.371 0.917
Si 0.166 0.963 0.918
Si 0.519 0.665 0.418
Si 0.186 0.332 0.084
Si 0.814 0.665 0.917
Si 0.666 0.963 0.918
Si 0.144 0.995 0.250
Si 0.815 0.963 0.416
Si 0.980 0.332 0.586
Si 0.355 0.996 0.751
Si 0.834 0.041 0.084
Si 0.855 0.713 0.251
Si 0.647 0.999 0.251
O 0.914 0.524 0.029
O 0.483 0.187 0.311
O 0.923 0.350 0.921
O 0.236 0.311 0.750
O 0.755 0.658 0.580
O 0.594 0.035 0.589
O 0.817 0.146 0.422
O 0.845 0.162 0.750
O 0.651 0.448 0.477
O 0.254 0.851 0.079
O 0.322 0.494 0.922
O 0.337 0.518 0.246
O 0.424 0.034 0.089
O 0.672 0.492 0.078
O 0.083 0.199 0.691
O 0.736 0.170 0.526
O 0.920 0.310 0.251
O 0.148 0.819 0.256
O 0.569 0.636 0.360
O 0.414 0.525 0.028
O 0.282 0.717 0.975
O 0.649 0.859 0.978
O 0.083 0.966 0.191
O 0.817 0.113 0.144
O 0.092 0.167 0.805
O 0.345 0.162 0.751
O 0.276 0.849 0.477
O 0.914 0.018 0.807
O 0.251 0.861 0.359
O 0.172 0.492 0.078
O 0.444 0.369 0.645
O 0.237 0.300 0.028
O 0.259 0.700 0.255
O 0.991 0.816 0.805
O 0.845 0.527 0.251
O 0.483 0.153 0.589
O 0.502 0.179 0.906
O 0.945 0.521 0.146
O 0.583 0.968 0.193
O 0.426 0.487 0.422
O 0.094 0.035 0.589
O 0.236 0.159 0.250
O 0.407 0.833 0.905
O 0.583 0.199 0.691
O 0.002 0.179 0.906
O 0.401 0.835 0.193
O 0.240 0.111 0.646
O 0.181 0.501 0.360
O 0.419 0.528 0.750
O 0.594 0.153 0.089
O 0.574 0.491 0.579
O 0.907 0.833 0.905
O 0.251 0.640 0.859
O 0.649 0.477 0.756
O 0.239 0.367 0.145
O 0.816 0.518 0.645
O 0.750 0.864 0.359
O 0.237 0.173 0.529
O 0.148 0.858 0.978
O 0.261 0.821 0.756
O 0.002 0.824 0.406
O 0.069 0.641 0.359
O 0.148 0.436 0.479
O 0.741 0.113 0.645
O 0.587 0.185 0.413
O 0.901 0.835 0.192
O 0.914 0.811 0.308
O 0.089 0.702 0.757
O 0.610 0.035 0.310
O 0.171 0.851 0.580
O 0.071 0.437 0.978
O 0.421 0.323 0.246
O 0.017 0.199 0.191
O 0.256 0.145 0.921
O 0.423 0.349 0.921
O 0.757 0.365 0.422
O 0.907 0.982 0.405
O 0.761 0.821 0.756
O 0.982 0.812 0.089
O 0.574 0.657 0.079
O 0.086 0.182 0.406
O 0.491 0.816 0.805
O 0.741 0.159 0.246
O 0.414 0.018 0.807
O 0.415 0.301 0.527
O 0.740 0.371 0.146
O 0.483 0.814 0.088
O 0.575 0.704 0.477
O 0.683 0.502 0.360
O 0.751 0.641 0.859
O 0.591 0.481 0.255
O 0.181 0.861 0.860
O 0.089 0.476 0.257
O 0.754 0.851 0.079
O 0.914 0.303 0.529
O 0.092 0.015 0.305
O 0.944 0.369 0.646
O 0.407 0.779 0.310
O 0.737 0.301 0.028
O 0.681 0.862 0.860
O 0.849 0.530 0.527
O 0.822 0.494 0.922
O 0.017 0.834 0.691
O 0.315 0.518 0.645
O 0.571 0.437 0.978
O 0.784 0.852 0.476
O 0.423 0.812 0.589
O 0.505 0.824 0.413
O 0.445 0.521 0.145
O 0.517 0.835 0.691
O 0.074 0.656 0.079
O 0.762 0.702 0.257
O 0.570 0.497 0.859
O 0.407 0.990 0.413
O 0.589 0.702 0.757
O 0.070 0.497 0.859
O 0.315 0.110 0.145
O 0.756 0.146 0.921
O 0.256 0.368 0.422
O 0.592 0.167 0.805
O 0.982 0.153 0.589
O 0.924 0.813 0.589
O 0.086 0.989 0.906
O 0.736 0.310 0.750
O 0.349 0.530 0.526
O 0.349 0.167 0.026
O 0.991 0.165 0.305
O 0.401 0.967 0.692
O 0.586 0.989 0.906
O 0.901 0.967 0.692
O 0.924 0.496 0.422
O 0.782 0.717 0.975
O 0.254 0.656 0.579
O 0.516 0.198 0.193
O 0.919 0.528 0.750
O 0.093 0.152 0.088
O 0.673 0.854 0.579
O 0.924 0.033 0.089
O 0.149 0.477 0.756
O 0.069 0.704 0.479
O 0.651 0.820 0.255
O 0.074 0.491 0.580
O 0.320 0.150 0.423
O 0.850 0.167 0.026
Na 0.653 0.348 0.580
Na 0.687 0.360 0.247
Na 0.666 0.666 0.160
Na 0.836 0.331 0.330
Na 0.154 0.349 0.580
Na 0.817 0.011 0.245
Na 0.826 0.960 0.581
Na 0.848 0.027 0.920
Na 0.826 0.692 0.080
Na 0.505 0.000 0.998
Na 0.189 0.367 0.245
Na 0.167 0.667 0.660
Na 0.666 0.666 0.661
Na 0.353 0.681 0.415
Na 0.020 0.348 0.079
Na 0.485 0.291 0.415
Na 0.331 0.329 0.330
Na 0.499 0.000 0.493
Na 0.190 0.011 0.747
Na 0.155 0.959 0.080
Na 0.995 0.621 0.246
Na 0.005 0.000 0.997
Na 0.325 0.957 0.579
Na 0.520 0.348 0.080
Na 0.689 0.011 0.747
Na 0.320 0.014 0.247
Na 0.659 0.028 0.414
Na 0.520 0.693 0.580
Na 0.849 0.670 0.418
Na 0.492 0.626 0.247
Na 0.021 0.693 0.580
Na 0.326 0.694 0.081
Na 0.005 0.010 0.497
Na 0.833 0.340 0.833
Na 0.317 0.623 0.747
Na 0.994 0.367 0.747
Na 0.333 0.340 0.833
Na 0.494 0.367 0.747
Na 0.167 0.667 0.160
Na 0.348 0.027 0.920
Na 0.654 0.959 0.080
Na 0.816 0.622 0.747
Ta 0.500 0.000 0.146
Ta 0.166 0.666 0.815
Ta 0.000 0.000 0.645
Ta 0.002 0.000 0.855
Ta 0.333 0.337 0.979
Ta 0.167 0.668 0.315
Ta 0.666 0.666 0.313
Ta 0.502 0.000 0.855
Ta 0.000 0.000 0.145
Ta 0.330 0.329 0.479
Ta 0.003 0.004 0.354
Ta 0.666 0.665 0.815
Ta 0.500 0.000 0.645
Ta 0.836 0.335 0.479
Ta 0.833 0.337 0.979
In 0.164 0.663 0.514
In 0.666 0.665 0.014
In 0.499 0.000 0.350
In 0.833 0.333 0.686
In 0.333 0.333 0.686
In 0.834 0.334 0.184
In 0.333 0.333 0.183
In 0.166 0.665 0.014
In 0.669 0.670 0.516

Calculated values
As for the symmetry: P1. The calculation puts the size of the total moment at 0.0 μB/f.u. As for the raw total energy: -7.22 eV/atom.

=====

[2]
## NaInTe2O6 (PBE)

Data for a geometry-optimized NaInTe2O6 structure.

Cell: 8.421 10.862 13.830 Å, 90.00 90.00 90.00°
Atoms (fractional coordinates):
In 0.705 0.997 0.013
In 0.795 0.497 0.987
In 0.205 0.503 0.013
In 0.295 0.003 0.987
In 0.205 0.003 0.487
In 0.705 0.497 0.487
In 0.795 0.997 0.513
In 0.295 0.503 0.513
O 0.683 0.169 0.554
O 0.396 0.186 0.234
O 0.108 0.635 0.532
O 0.160 0.543 0.168
O 0.608 0.865 0.532
O 0.737 0.024 0.361
O 0.501 0.373 0.512
O 0.396 0.686 0.266
O 0.501 0.873 0.988
O 0.108 0.135 0.968
O 0.999 0.873 0.488
O 0.817 0.169 0.054
O 0.999 0.373 0.012
O 0.840 0.957 0.668
O 0.499 0.127 0.012
O 0.817 0.669 0.446
O 0.001 0.627 0.988
O 0.183 0.831 0.946
O 0.183 0.331 0.554
O 0.499 0.627 0.488
O 0.604 0.314 0.734
O 0.340 0.043 0.832
O 0.737 0.524 0.139
O 0.317 0.831 0.446
O 0.608 0.365 0.968
O 0.892 0.865 0.032
O 0.237 0.976 0.139
O 0.896 0.314 0.234
O 0.237 0.476 0.361
O 0.160 0.043 0.332
O 0.683 0.669 0.946
O 0.763 0.524 0.639
O 0.392 0.135 0.468
O 0.763 0.024 0.861
O 0.660 0.957 0.168
O 0.263 0.976 0.639
O 0.263 0.476 0.861
O 0.317 0.331 0.054
O 0.104 0.686 0.766
O 0.001 0.127 0.512
O 0.660 0.457 0.332
O 0.840 0.457 0.832
O 0.340 0.543 0.668
O 0.604 0.814 0.766
O 0.896 0.814 0.266
O 0.392 0.635 0.032
O 0.892 0.365 0.468
O 0.104 0.186 0.734
Te 0.969 0.781 0.920
Te 0.151 0.520 0.745
Te 0.969 0.281 0.580
Te 0.849 0.980 0.245
Te 0.031 0.219 0.080
Te 0.349 0.520 0.245
Te 0.469 0.219 0.580
Te 0.651 0.980 0.745
Te 0.349 0.020 0.255
Te 0.651 0.480 0.755
Te 0.531 0.781 0.420
Te 0.031 0.719 0.420
Te 0.849 0.480 0.255
Te 0.531 0.281 0.080
Te 0.151 0.020 0.755
Te 0.469 0.719 0.920
Na 0.622 0.735 0.145
Na 0.122 0.265 0.355
Na 0.122 0.765 0.145
Na 0.878 0.735 0.645
Na 0.878 0.235 0.855
Na 0.378 0.265 0.855
Na 0.378 0.765 0.645
Na 0.622 0.235 0.355

Calculated values
As for the symmetry: Pbca. The calculation puts the size of the total moment at 0.0 μB/f.u. As for the raw total energy: -5.34 eV/atom.